(1)
# Ga3Sn

A relaxed structure of Ga3Sn (PBE-GGA, Materials Project).

```
Ga3Sn
1.0
0.000 3.518 3.518
3.518 0.000 3.518
3.518 3.518 0.000
Ga Sn
3 1
Cartesian
0.000 0.000 0.000
1.759 1.759 1.759
5.277 5.277 5.277
3.518 3.518 3.518
```

Space group: Fm-3m (225)
Crystal system: cubic
E_tot (eV per atom): -3.229


(2)
# Ga3Sn

A relaxed structure of Ga3Sn (PBE-GGA, Materials Project).

```
Ga3Sn
1.0
-2.324 2.324 4.037
2.324 -2.324 4.037
2.324 2.324 -4.037
Ga Sn
3 1
Cartesian
0.000 0.000 0.000
2.324 0.000 2.018
0.000 2.324 2.018
0.000 0.000 4.037
```

Space group: I4/mmm (139)
Crystal system: tetragonal
E_tot (eV per atom): -3.238


(3)
# Ta5Ga2Sn

A relaxed structure of Ta5Ga2Sn (PBE-GGA, Materials Project).

```
Ta5Ga2Sn
1.0
-5.200 5.200 2.668
5.200 -5.200 2.668
5.200 5.200 -2.668
Ta Ga Sn
10 4 2
Cartesian
7.958 0.799 0.000
0.799 2.441 0.000
5.200 0.000 1.334
5.999 2.759 0.000
2.759 4.400 0.000
2.441 0.799 2.668
-0.799 2.441 2.668
0.000 5.200 1.334
4.400 2.759 2.668
-2.759 4.400 2.668
3.469 1.731 0.000
3.469 -1.731 2.668
1.731 6.931 0.000
1.731 3.469 2.668
0.000 0.000 1.334
0.000 0.000 4.002
```

Space group: I4/mcm (140)
Crystal system: tetragonal
Polymorph energy (0 for the lowest one) (meV/atom): 97.1
E_tot (eV per atom): -8.745
M_tot (μB per formula unit): 0.00


(4)
# Ta5Ga2Sn

A relaxed structure of Ta5Ga2Sn (PBE-GGA, Materials Project).

```
Ta5Ga2Sn
1.0
0.000 7.373 7.447
2.588 0.000 7.447
2.588 7.373 0.000
Ta Ga Sn
10 4 2
Cartesian
2.588 5.795 2.537
2.588 4.705 5.932
3.910 7.373 7.447
2.588 8.951 2.537
2.588 4.705 8.961
2.588 10.042 5.932
2.588 5.795 12.356
1.266 7.373 7.447
2.588 10.042 8.961
2.588 8.951 12.356
2.588 2.455 7.447
1.294 3.687 3.723
3.882 11.060 11.170
2.588 12.292 7.447
2.588 7.373 4.913
2.588 7.373 9.980
```

Space group: Fmmm (69)
Crystal system: orthorhombic
Polymorph energy (0 for the lowest one) (meV/atom): 0.0
E_tot (eV per atom): -8.842
M_tot (μB per formula unit): 0.00


(5)
# V2GaSn2

A relaxed structure of V2GaSn2 (PBE-GGA, Materials Project).

```
V2GaSn2
1.0
2.805 -9.432 0.000
2.805 9.432 0.000
0.000 0.000 6.752
V Ga Sn
8 4 8
Cartesian
2.805 8.037 6.561
1.402 2.996 5.064
1.402 -2.996 1.688
2.805 1.394 3.185
2.805 -1.394 3.567
4.207 2.996 5.064
4.207 -2.996 1.688
2.805 -8.037 0.191
1.402 0.342 5.064
1.402 -0.342 1.688
4.207 0.342 5.064
4.207 -0.342 1.688
2.805 7.331 3.896
2.805 5.249 6.227
2.805 4.183 2.851
2.805 2.100 0.520
2.805 -2.100 6.232
2.805 -4.183 3.901
2.805 -5.249 0.525
2.805 -7.331 2.856
```

Space group: Cmce (64)
Crystal system: orthorhombic
E_tot (eV per atom): -5.968


(6)
# Zr5GaSn3

A relaxed structure of Zr5GaSn3 (PBE-GGA, Materials Project).

```
Zr5GaSn3
1.0
8.729 0.000 0.000
-4.364 7.559 0.000
0.000 0.000 5.916
Zr Ga Sn
10 2 6
Cartesian
-1.164 2.016 1.479
-3.200 5.543 4.437
2.328 0.000 1.479
1.164 2.016 4.437
0.000 5.040 0.000
0.000 5.040 2.958
4.364 2.520 0.000
4.364 2.520 2.958
6.401 0.000 4.437
3.200 5.543 1.479
0.000 0.000 0.000
0.000 0.000 2.958
-1.692 2.931 4.437
-2.672 4.628 1.479
3.385 0.000 4.437
1.692 2.931 1.479
5.344 0.000 1.479
2.672 4.628 4.437
```

Space group: P6_3/mcm (193)
Crystal system: hexagonal
E_tot (eV per atom): -7.080


(7)
# SrGa2

A relaxed structure of SrGa2 (PBE-GGA, Materials Project).

```
SrGa2
1.0
4.357 0.000 0.000
-2.178 3.773 0.000
0.000 0.000 4.824
Sr Ga
1 2
Cartesian
0.000 0.000 0.000
0.000 2.515 2.412
2.178 1.258 2.412
```

Space group: P6/mmm (191)
Crystal system: hexagonal
E_tot (eV per atom): -3.082


(8)
# SrGa

A relaxed structure of SrGa (PBE-GGA, Materials Project).

```
SrGa
1.0
12.591 0.000 0.000
0.000 12.591 0.000
0.000 0.000 12.591
Sr Ga
32 32
Cartesian
0.099 3.757 5.539
0.246 3.667 11.792
0.757 12.492 10.052
0.799 6.542 2.629
2.349 10.243 3.947
2.445 8.741 10.146
2.539 7.052 6.395
2.629 0.799 6.542
3.667 11.792 0.246
3.757 5.539 0.099
3.850 3.850 3.850
3.947 2.349 10.243
5.496 6.049 8.924
5.539 0.099 3.757
6.049 8.924 5.496
6.197 8.835 11.835
6.395 2.539 7.052
6.542 2.629 0.799
7.052 6.395 2.539
7.095 12.345 9.963
8.644 8.644 8.644
8.741 10.146 2.445
8.835 11.835 6.197
8.924 5.496 6.049
9.963 7.095 12.345
10.052 0.757 12.492
10.146 2.445 8.741
10.243 3.947 2.349
11.792 0.246 3.667
11.835 6.197 8.835
12.345 9.963 7.095
12.492 10.052 0.757
0.662 6.958 11.929
0.830 0.830 0.830
0.927 3.107 2.394
1.021 2.980 8.585
2.289 5.274 9.612
2.394 0.927 3.107
2.980 8.585 1.021
3.107 2.394 0.927
3.189 10.198 7.223
3.316 4.006 7.317
3.902 11.664 9.403
4.006 7.317 3.316
5.274 9.612 2.289
5.368 9.484 8.689
5.465 11.761 7.126
5.634 5.634 5.634
6.958 11.929 0.662
7.126 5.465 11.761
7.223 3.189 10.198
7.317 3.316 4.006
8.585 1.021 2.980
8.689 5.368 9.484
9.275 10.302 11.570
9.403 3.902 11.664
9.484 8.689 5.368
9.612 2.289 5.274
10.198 7.223 3.189
10.302 11.570 9.275
11.570 9.275 10.302
11.664 9.403 3.902
11.761 7.126 5.465
11.929 0.662 6.958
```

Space group: P2_13 (198)
Crystal system: cubic
E_tot (eV per atom): -2.749
M_tot (μB per formula unit): 0.00


(9)
# Ta5Ga3

A relaxed structure of Ta5Ga3 (PBE-GGA, Materials Project).

```
Ta5Ga3
1.0
-5.137 5.137 2.568
5.137 -5.137 2.568
5.137 5.137 -2.568
Ta Ga
10 6
Cartesian
7.991 0.770 0.000
0.770 2.284 0.000
5.137 0.000 1.284
5.907 2.853 0.000
2.853 4.368 0.000
2.284 0.770 2.568
-0.770 2.284 2.568
0.000 5.137 1.284
4.368 2.853 2.568
-2.853 4.368 2.568
3.430 1.707 0.000
0.000 0.000 1.284
3.430 -1.707 2.568
1.707 6.845 0.000
0.000 0.000 3.852
1.707 3.430 2.568
```

Space group: I4/mcm (140)
Crystal system: tetragonal
Polymorph energy (0 for the lowest one) (meV/atom): 0.0
E_tot (eV per atom): -8.802


(10)
# Ta5Ga3

A relaxed structure of Ta5Ga3 (PBE-GGA, Materials Project).

```
Ta5Ga3
1.0
-3.390 3.390 5.910
3.390 -3.390 5.910
3.390 3.390 -5.910
Ta Ga
10 6
Cartesian
0.000 0.000 0.000
4.483 1.093 -1.847
1.093 2.297 -1.847
4.483 1.093 1.847
1.093 2.297 1.847
0.000 0.000 5.910
2.297 1.093 4.063
-1.093 2.297 4.063
2.297 1.093 7.757
-1.093 2.297 7.757
2.483 0.907 0.000
0.000 0.000 2.955
2.483 -0.907 5.910
0.907 4.297 0.000
0.000 0.000 8.865
0.907 2.483 5.910
```

Space group: I4/mcm (140)
Crystal system: tetragonal
Polymorph energy (0 for the lowest one) (meV/atom): 9.8
E_tot (eV per atom): -8.792
M_tot (μB per formula unit): 0.01


(11)
# Ta5Ga3

A relaxed structure of Ta5Ga3 (PBE-GGA, Materials Project).

```
Ta5Ga3
1.0
7.741 0.000 0.000
-3.870 6.704 0.000
0.000 0.000 5.284
Ta Ga
10 6
Cartesian
-0.956 1.655 1.321
-2.915 5.048 3.963
1.911 0.000 1.321
0.956 1.655 3.963
0.000 4.469 0.000
0.000 4.469 2.642
3.870 2.235 0.000
3.870 2.235 2.642
5.829 0.000 3.963
2.915 5.048 1.321
-1.526 2.643 3.963
-2.344 4.060 1.321
3.052 0.000 3.963
1.526 2.643 1.321
4.688 0.000 1.321
2.344 4.060 3.963
```

Space group: P6_3/mcm (193)
Crystal system: hexagonal
Polymorph energy (0 for the lowest one) (meV/atom): 89.7
E_tot (eV per atom): -8.712
M_tot (μB per formula unit): 0.01


(12)
# TaGa3

A relaxed structure of TaGa3 (PBE-GGA, Materials Project).

```
TaGa3
1.0
-1.916 1.916 4.384
1.916 -1.916 4.384
1.916 1.916 -4.384
Ta Ga
1 3
Cartesian
0.000 0.000 0.000
1.916 0.000 2.192
0.000 0.000 4.384
0.000 1.916 2.192
```

Space group: I4/mmm (139)
Crystal system: tetragonal
E_tot (eV per atom): -5.405